Record 1
Below is a geometry-optimized Zr2Se structure, with properties calculated at the r2SCAN level.

a b c (Å): 12.709 15.872 3.620
angles (deg): 90.00 90.00 90.00
Atoms (fractional coordinates):
Zr 0.033 0.111 0.000
Zr 0.077 0.747 0.500
Zr 0.084 0.581 0.000
Zr 0.123 0.424 0.500
Zr 0.149 0.977 0.500
Zr 0.201 0.204 0.500
Zr 0.299 0.704 0.000
Zr 0.351 0.477 0.000
Zr 0.377 0.924 0.000
Zr 0.416 0.081 0.500
Zr 0.423 0.247 0.000
Zr 0.467 0.611 0.500
Zr 0.533 0.389 0.500
Zr 0.577 0.753 0.000
Zr 0.584 0.919 0.500
Zr 0.623 0.076 0.000
Zr 0.649 0.523 0.000
Zr 0.701 0.296 0.000
Zr 0.799 0.796 0.500
Zr 0.851 0.023 0.500
Zr 0.877 0.576 0.500
Zr 0.916 0.419 0.000
Zr 0.923 0.253 0.500
Zr 0.967 0.889 0.000
Se 0.079 0.293 0.000
Se 0.183 0.849 0.000
Se 0.246 0.580 0.500
Se 0.254 0.080 0.000
Se 0.317 0.349 0.500
Se 0.421 0.793 0.500
Se 0.579 0.207 0.500
Se 0.683 0.651 0.500
Se 0.746 0.920 0.000
Se 0.754 0.420 0.500
Se 0.817 0.151 0.000
Se 0.921 0.707 0.000

As for the formation energy from the elements: -3.19 eV per formula unit. The density is 7.134 g cm⁻³. Its total DFT energy (no corrections) is -21.00 eV/atom.

Record 2
Below is a geometry-optimized EuMg2H6 structure, with properties calculated at the r2SCAN level.

a b c (Å): 3.728 3.728 7.970
angles (deg): 90.00 90.00 90.00
Atoms (fractional coordinates):
Eu 0.000 0.000 0.000
Mg 0.500 0.500 0.274
Mg 0.500 0.500 0.726
H 0.000 0.500 0.208
H 0.000 0.500 0.792
H 0.500 0.000 0.208
H 0.500 0.000 0.792
H 0.500 0.500 0.000
H 0.500 0.500 0.500

As for the formation energy from the elements: -3.76 eV per formula unit. The density is 3.098 g cm⁻³. Its total DFT energy (no corrections) is -7.93 eV/atom.

Record 3
Below is a geometry-optimized Pr2ZrS5 structure, with properties calculated at the r2SCAN level.

a b c (Å): 11.681 8.073 7.418
angles (deg): 90.00 90.00 90.00
Atoms (fractional coordinates):
Pr 0.175 0.001 0.040
Pr 0.175 0.499 0.040
Pr 0.325 0.501 0.540
Pr 0.325 0.999 0.540
Pr 0.675 0.001 0.460
Pr 0.675 0.499 0.460
Pr 0.825 0.501 0.960
Pr 0.825 0.999 0.960
Zr 0.008 0.750 0.574
Zr 0.492 0.250 0.074
Zr 0.508 0.750 0.926
Zr 0.992 0.250 0.426
S 0.004 0.750 0.943
S 0.084 0.035 0.667
S 0.084 0.465 0.667
S 0.185 0.750 0.346
S 0.206 0.250 0.326
S 0.294 0.750 0.826
S 0.315 0.250 0.846
S 0.416 0.535 0.167
S 0.416 0.965 0.167
S 0.496 0.250 0.443
S 0.504 0.750 0.557
S 0.584 0.035 0.833
S 0.584 0.465 0.833
S 0.685 0.750 0.154
S 0.706 0.250 0.174
S 0.794 0.750 0.674
S 0.815 0.250 0.654
S 0.916 0.535 0.333
S 0.916 0.965 0.333
S 0.996 0.250 0.057

As for the formation energy from the elements: -17.54 eV per formula unit. The density is 5.064 g cm⁻³. Its total DFT energy (no corrections) is -17.41 eV/atom.

Record 4
Below is a geometry-optimized Tb3Th structure, with properties calculated at the r2SCAN level.

a b c (Å): 7.222 7.222 5.782
angles (deg): 90.00 90.00 120.00
Atoms (fractional coordinates):
Tb 0.168 0.336 0.250
Tb 0.168 0.832 0.250
Tb 0.336 0.168 0.750
Tb 0.664 0.832 0.250
Tb 0.832 0.168 0.750
Tb 0.832 0.664 0.750
Th 0.333 0.667 0.750
Th 0.667 0.333 0.250

As for the formation energy from the elements: 0.19 eV per formula unit. The density is 9.015 g cm⁻³. Its total DFT energy (no corrections) is -41.74 eV/atom.

Record 5
Below is a geometry-optimized In2Te3O9 structure, with properties calculated at the r2SCAN level.

a b c (Å): 8.141 18.313 5.475
angles (deg): 90.00 90.00 90.00
Atoms (fractional coordinates):
In 0.187 0.063 0.206
In 0.187 0.437 0.206
In 0.313 0.563 0.706
In 0.313 0.937 0.706
In 0.687 0.063 0.294
In 0.687 0.437 0.294
In 0.813 0.563 0.794
In 0.813 0.937 0.794
Te 0.135 0.631 0.186
Te 0.135 0.869 0.186
Te 0.153 0.250 0.272
Te 0.347 0.750 0.772
Te 0.365 0.131 0.686
Te 0.365 0.369 0.686
Te 0.635 0.631 0.314
Te 0.635 0.869 0.314
Te 0.653 0.250 0.228
Te 0.847 0.750 0.728
Te 0.865 0.131 0.814
Te 0.865 0.369 0.814
O 0.065 0.572 0.909
O 0.065 0.928 0.909
O 0.144 0.750 0.946
O 0.153 0.125 0.542
O 0.153 0.375 0.542
O 0.177 0.542 0.375
O 0.177 0.958 0.375
O 0.209 0.174 0.050
O 0.209 0.326 0.050
O 0.291 0.674 0.550
O 0.291 0.826 0.550
O 0.323 0.042 0.875
O 0.323 0.458 0.875
O 0.347 0.625 0.042
O 0.347 0.875 0.042
O 0.356 0.250 0.446
O 0.435 0.072 0.409
O 0.435 0.428 0.409
O 0.565 0.572 0.591
O 0.565 0.928 0.591
O 0.644 0.750 0.554
O 0.653 0.125 0.958
O 0.653 0.375 0.958
O 0.677 0.542 0.125
O 0.677 0.958 0.125
O 0.709 0.174 0.450
O 0.709 0.326 0.450
O 0.791 0.674 0.950
O 0.791 0.826 0.950
O 0.823 0.042 0.625
O 0.823 0.458 0.625
O 0.847 0.625 0.458
O 0.847 0.875 0.458
O 0.856 0.250 0.054
O 0.935 0.072 0.091
O 0.935 0.428 0.091

As for the formation energy from the elements: -19.85 eV per formula unit. The density is 6.156 g cm⁻³. Its total DFT energy (no corrections) is -13.93 eV/atom.

Record 6
Below is a geometry-optimized SiO2 structure, with properties calculated at the r2SCAN level.

a b c (Å): 13.034 13.034 5.248
angles (deg): 90.00 90.00 90.00
Atoms (fractional coordinates):
O 0.143 0.357 0.250
O 0.357 0.143 0.250
O 0.500 0.243 0.000
O 0.857 0.357 0.250
O 0.813 0.187 0.500
O 0.143 0.357 0.750
O 0.687 0.313 0.000
O 0.187 0.813 0.500
O 0.743 0.000 0.500
O 0.643 0.857 0.250
O 0.643 0.143 0.250
O 0.257 0.000 0.500
O 0.000 0.743 0.500
O 0.857 0.357 0.750
O 0.687 0.687 0.000
O 0.000 0.257 0.500
O 0.643 0.143 0.750
O 0.313 0.687 0.000
O 0.313 0.313 0.000
O 0.643 0.857 0.750
O 0.143 0.643 0.250
O 0.243 0.500 0.000
O 0.757 0.500 0.000
O 0.500 0.757 0.000
O 0.187 0.187 0.500
O 0.143 0.643 0.750
O 0.857 0.643 0.750
O 0.357 0.143 0.750
O 0.357 0.857 0.250
O 0.813 0.813 0.500
O 0.357 0.857 0.750
O 0.857 0.643 0.250
Si 0.381 0.210 0.000
Si 0.381 0.790 0.000
Si 0.210 0.381 0.000
Si 0.790 0.381 0.000
Si 0.710 0.881 0.500
Si 0.881 0.710 0.500
Si 0.290 0.119 0.500
Si 0.710 0.119 0.500
Si 0.881 0.290 0.500
Si 0.290 0.881 0.500
Si 0.619 0.210 0.000
Si 0.119 0.710 0.500
Si 0.619 0.790 0.000
Si 0.790 0.619 0.000
Si 0.210 0.619 0.000
Si 0.119 0.290 0.500

As for the formation energy from the elements: -9.06 eV per formula unit. The density is 1.790 g cm⁻³. Its total DFT energy (no corrections) is -9.93 eV/atom.

Record 7
Below is a geometry-optimized LaNi2Ge2 structure, with properties calculated at the r2SCAN level.

a b c (Å): 4.184 4.184 9.882
angles (deg): 90.00 90.00 90.00
Atoms (fractional coordinates):
La 0.000 0.000 0.000
La 0.500 0.500 0.500
Ni 0.000 0.500 0.250
Ni 0.000 0.500 0.750
Ni 0.500 0.000 0.250
Ni 0.500 0.000 0.750
Ge 0.000 0.000 0.363
Ge 0.000 0.000 0.637
Ge 0.500 0.500 0.137
Ge 0.500 0.500 0.863

As for the formation energy from the elements: -3.53 eV per formula unit. The density is 7.708 g cm⁻³. Its total DFT energy (no corrections) is -17.00 eV/atom.

Record 8
Below is a geometry-optimized Al2O3 structure, with properties calculated at the r2SCAN level.

a b c (Å): 3.002 3.002 17.300
angles (deg): 90.00 90.00 120.00
Atoms (fractional coordinates):
Al 0.000 0.000 0.000
Al 0.000 0.000 0.500
Al 0.333 0.667 0.166
Al 0.333 0.667 0.667
Al 0.667 0.333 0.333
Al 0.667 0.333 0.833
O 0.000 0.000 0.165
O 0.000 0.000 0.386
O 0.000 0.000 0.611
O 0.333 0.667 0.053
O 0.333 0.667 0.277
O 0.333 0.667 0.831
O 0.667 0.333 0.498
O 0.667 0.333 0.720
O 0.667 0.333 0.944

As for the formation energy from the elements: -16.23 eV per formula unit. The density is 3.763 g cm⁻³. Its total DFT energy (no corrections) is -9.52 eV/atom.

Record 9
Below is a geometry-optimized LiSi structure, with properties calculated at the r2SCAN level.

a b c (Å): 5.727 7.175 7.176
angles (deg): 80.83 66.48 66.49
Atoms (fractional coordinates):
Li 0.027 0.305 0.033
Li 0.136 0.805 0.533
Li 0.169 0.465 0.304
Li 0.440 0.033 0.195
Li 0.560 0.967 0.805
Li 0.831 0.535 0.696
Li 0.864 0.195 0.467
Li 0.973 0.695 0.967
Si 0.048 0.936 0.158
Si 0.294 0.158 0.564
Si 0.358 0.436 0.658
Si 0.484 0.658 0.064
Si 0.516 0.342 0.936
Si 0.642 0.564 0.342
Si 0.706 0.842 0.436
Si 0.952 0.064 0.842

As for the formation energy from the elements: -0.44 eV per formula unit. The density is 1.877 g cm⁻³. Its total DFT energy (no corrections) is -5.80 eV/atom.

Record 10
Below is a geometry-optimized SrTiO3 structure, with properties calculated at the r2SCAN level.

a b c (Å): 5.535 5.535 5.535
angles (deg): 120.15 120.15 89.74
Atoms (fractional coordinates):
Sr 0.250 0.750 0.500
Sr 0.750 0.250 0.500
Ti 0.000 0.000 0.000
Ti 0.500 0.500 0.000
O 0.229 0.729 0.958
O 0.250 0.250 0.000
O 0.271 0.229 0.500
O 0.729 0.771 0.500
O 0.750 0.750 0.000
O 0.771 0.271 0.042

As for the formation energy from the elements: -17.24 eV per formula unit. The density is 5.094 g cm⁻³. Its total DFT energy (no corrections) is -12.65 eV/atom.

Record 11
Below is a geometry-optimized CuSeO4 structure, with properties calculated at the r2SCAN level.

a b c (Å): 8.836 6.709 4.977
angles (deg): 90.00 90.00 90.00
Atoms (fractional coordinates):
Cu 0.000 0.000 0.000
Cu 0.000 0.500 0.000
Cu 0.500 0.000 0.500
Cu 0.500 0.500 0.500
Se 0.184 0.250 0.453
Se 0.316 0.750 0.953
Se 0.684 0.250 0.047
Se 0.816 0.750 0.547
O 0.124 0.750 0.918
O 0.129 0.042 0.303
O 0.129 0.250 0.766
O 0.129 0.458 0.303
O 0.371 0.542 0.803
O 0.371 0.750 0.266
O 0.371 0.958 0.803
O 0.376 0.250 0.418
O 0.624 0.750 0.582
O 0.629 0.042 0.197
O 0.629 0.250 0.734
O 0.629 0.458 0.197
O 0.871 0.542 0.697
O 0.871 0.750 0.234
O 0.871 0.958 0.697
O 0.876 0.250 0.082

As for the formation energy from the elements: -4.20 eV per formula unit. The density is 4.649 g cm⁻³. Its total DFT energy (no corrections) is -8.87 eV/atom.

Record 12
Below is a geometry-optimized Nd2CdGe2 structure, with properties calculated at the r2SCAN level.

a b c (Å): 7.501 7.501 4.336
angles (deg): 90.00 90.00 90.00
Atoms (fractional coordinates):
Nd 0.180 0.320 0.000
Nd 0.320 0.820 0.000
Nd 0.680 0.180 0.000
Nd 0.820 0.680 0.000
Cd 0.000 0.000 0.500
Cd 0.500 0.500 0.500
Ge 0.119 0.619 0.500
Ge 0.381 0.119 0.500
Ge 0.619 0.881 0.500
Ge 0.881 0.381 0.500

As for the formation energy from the elements: -4.11 eV per formula unit. The density is 7.434 g cm⁻³. Its total DFT energy (no corrections) is -22.16 eV/atom.

Record 13
Below is a geometry-optimized CsPbBr3 structure, with properties calculated at the r2SCAN level.

a b c (Å): 5.949 5.949 5.949
angles (deg): 90.00 90.00 90.00
Atoms (fractional coordinates):
Cs 0.000 0.000 0.000
Pb 0.500 0.500 0.500
Br 0.000 0.500 0.500
Br 0.500 0.000 0.500
Br 0.500 0.500 0.000

As for the formation energy from the elements: -7.36 eV per formula unit. The density is 4.574 g cm⁻³. Its total DFT energy (no corrections) is -25.71 eV/atom.

Record 14
Below is a geometry-optimized PaSb3 structure, with properties calculated at the r2SCAN level.

a b c (Å): 6.356 6.356 5.966
angles (deg): 90.00 90.00 120.00
Atoms (fractional coordinates):
Pa 0.333 0.667 0.250
Pa 0.667 0.333 0.750
Sb 0.173 0.347 0.750
Sb 0.173 0.827 0.750
Sb 0.347 0.173 0.250
Sb 0.653 0.827 0.750
Sb 0.827 0.173 0.250
Sb 0.827 0.653 0.250

As for the formation energy from the elements: -1.34 eV per formula unit. The density is 9.487 g cm⁻³. Its total DFT energy (no corrections) is -38.83 eV/atom.

Record 15
Below is a geometry-optimized Dy2GaCu3 structure, with properties calculated at the r2SCAN level.

a b c (Å): 9.792 4.279 6.887
angles (deg): 90.00 131.56 90.00
Atoms (fractional coordinates):
Dy 0.000 0.000 0.000
Dy 0.088 0.000 0.591
Dy 0.500 0.500 0.000
Dy 0.588 0.500 0.591
Ga 0.213 0.500 0.405
Ga 0.713 0.000 0.405
Cu 0.205 0.500 0.010
Cu 0.379 0.000 0.182
Cu 0.379 0.000 0.581
Cu 0.705 0.000 0.010
Cu 0.879 0.500 0.182
Cu 0.879 0.500 0.581

As for the formation energy from the elements: -2.45 eV per formula unit. The density is 9.003 g cm⁻³. Its total DFT energy (no corrections) is -18.40 eV/atom.

Record 16
Below is a geometry-optimized CeInIr structure, with properties calculated at the r2SCAN level.

a b c (Å): 7.552 7.552 3.983
angles (deg): 90.00 90.00 120.00
Atoms (fractional coordinates):
Ce 0.000 0.588 0.000
Ce 0.412 0.412 0.000
Ce 0.588 0.000 0.000
In 0.000 0.252 0.500
In 0.252 0.000 0.500
In 0.748 0.748 0.500
Ir 0.000 0.000 0.000
Ir 0.333 0.667 0.500
Ir 0.667 0.333 0.500

As for the formation energy from the elements: -2.38 eV per formula unit. The density is 11.322 g cm⁻³. Its total DFT energy (no corrections) is -36.05 eV/atom.

Record 17
Below is a geometry-optimized MgHg3 structure, with properties calculated at the r2SCAN level.

a b c (Å): 3.145 12.078 5.003
angles (deg): 90.00 90.00 90.00
Atoms (fractional coordinates):
Mg 0.000 0.000 0.000
Mg 0.500 0.500 0.500
Hg 0.000 0.293 0.388
Hg 0.000 0.500 0.984
Hg 0.000 0.707 0.388
Hg 0.500 0.000 0.484
Hg 0.500 0.207 0.888
Hg 0.500 0.793 0.888

As for the formation energy from the elements: -0.28 eV per formula unit. The density is 10.940 g cm⁻³. Its total DFT energy (no corrections) is -38.14 eV/atom.